Entry 1:
LaNiAs | r2SCAN | relaxed

Unit cell a=4.1631 b=4.1631 c=16.4002 alpha=90.00 beta=90.00 gamma=120.00
Closest atoms and distances in Å follow each position.
Element x y z (fractional)
La 0.0000 0.0000 0.7500  6 Ni 3.14, 6 As 3.17
As 0.3333 0.6667 0.8762  3 Ni 2.40
Ni 0.6667 0.3333 0.8728  3 As 2.40
As 0.6667 0.3333 0.1238  3 Ni 2.40
Ni 0.6667 0.3333 0.6272  3 As 2.40
As 0.3333 0.6667 0.6238  3 Ni 2.40
As 0.6667 0.3333 0.3762  3 Ni 2.40
Ni 0.3333 0.6667 0.1272  3 As 2.40
La 0.0000 0.0000 0.5000  6 As 3.15, 6 Ni 3.18
La 0.0000 0.0000 0.2500  6 Ni 3.14, 6 As 3.17
La 0.0000 0.0000 0.0000  6 As 3.15, 6 Ni 3.18
Ni 0.3333 0.6667 0.3728  3 As 2.40

Summary:
space group = P6_3/mmc
energy of formation from the pure elements = -1.176 eV/atom

Entry 2:
Na3Nd5Cl18 | r2SCAN | relaxed

Unit cell a=7.5753 b=7.5754 c=12.6662 alpha=90.00 beta=90.00 gamma=120.00
Closest atoms and distances in Å follow each position.
Element x y z (fractional)
Cl 0.3665 0.4211 0.1652  3 Nd 2.89-3.00
Nd 0.0000 0.0000 0.8330  9 Cl 2.85-3.00
Cl 0.0483 0.6163 0.5000  2 Nd 2.88, 1 Na 3.10
Cl 0.9790 0.2524 0.6724  2 Na 2.73-2.96, 2 Nd 2.85-2.94
Cl 0.5680 0.9517 0.5000  2 Nd 2.88, 1 Na 3.10
Cl 0.0545 0.6335 0.1652  3 Nd 2.89-3.00
Cl 0.2735 0.0211 0.6724  2 Na 2.72-2.96, 2 Nd 2.85-2.94
Cl 0.3837 0.4321 0.5000  2 Nd 2.88, 1 Na 3.11
Na 0.6667 0.3334 0.6675  3 Cl 2.72-2.73
Nd 0.3333 0.6667 0.0000  9 Cl 2.89-2.97
Cl 0.9789 0.2524 0.3276  2 Na 2.72-2.96, 2 Nd 2.85-2.94
Cl 0.7476 0.7266 0.6724  2 Na 2.73-2.96, 2 Nd 2.85-2.94
Nd 0.3333 0.6667 0.3363  9 Cl 2.88-2.95
Cl 0.2735 0.0211 0.3276  2 Na 2.72-2.96, 2 Nd 2.85-2.94
Na 0.9996 0.9995 0.5000  9 Cl 2.96-3.11
Na 0.6667 0.3334 0.3325  3 Cl 2.72-2.73
Cl 0.5790 0.9454 0.8348  3 Nd 2.89-3.00
Cl 0.2729 0.0256 0.0000  3 Nd 2.90-2.97
Cl 0.7528 0.7272 0.0000  3 Nd 2.90-2.97
Cl 0.9744 0.2473 0.0000  3 Nd 2.90-2.97
Nd 0.3333 0.6667 0.6637  9 Cl 2.88-2.95
Nd 0.0000 0.0000 0.1670  9 Cl 2.85-3.00
Cl 0.3665 0.4211 0.8348  3 Nd 2.89-3.00
Cl 0.7476 0.7266 0.3276  2 Na 2.73-2.96, 2 Nd 2.85-2.94
Cl 0.0545 0.6335 0.8348  3 Nd 2.89-3.00
Cl 0.5789 0.9454 0.1652  3 Nd 2.89-3.00

Summary:
space group = P-6
energy of formation from the pure elements = -2.447 eV/atom

Entry 3:
Ho2RuPt | r2SCAN | relaxed

Unit cell a=4.8164 b=4.8164 c=4.8164 alpha=60.00 beta=60.00 gamma=60.00
Closest atoms and distances in Å follow each position.
Element x y z (fractional)
Ru 0.0000 0.0000 0.0000  8 Ho 2.95
Pt 0.5000 0.5000 0.5000  8 Ho 2.95
Ho 0.7500 0.7500 0.7500  4 Pt 2.95, 4 Ru 2.95
Ho 0.2500 0.2500 0.2500  4 Pt 2.95, 4 Ru 2.95

Summary:
space group = Fm-3m
energy of formation from the pure elements = -0.895 eV/atom

Entry 4:
MgCo3P4O14 | r2SCAN | relaxed

Unit cell a=7.3227 b=7.1817 c=9.5606 alpha=67.28 beta=90.00 gamma=90.00
Closest atoms and distances in Å follow each position.
Element x y z (fractional)
O 0.5976 0.6589 0.8415  2 P 1.58-1.60
P 0.3003 0.1353 0.1862  4 O 1.51-1.58
O 0.0799 0.0236 0.6155  1 P 1.51
O 0.7594 0.3781 0.6054  1 P 1.51
O 0.7914 0.9721 0.1418  1 P 1.52
O 0.4201 0.0236 0.1155  1 P 1.51
O 0.9201 0.9764 0.3845  1 P 1.51
O 0.6201 0.8039 0.3975  1 P 1.52
O 0.9024 0.6589 0.3415  2 P 1.58-1.60
O 0.2086 0.0279 0.8582  1 P 1.52
O 0.4024 0.3411 0.1585  2 P 1.58-1.60
O 0.2914 0.0279 0.3582  1 P 1.52
O 0.2594 0.6219 0.8946  1 P 1.51
O 0.3827 0.6972 0.6289  1 P 1.55
O 0.1201 0.1961 0.1025  1 P 1.52
O 0.8799 0.8039 0.8975  1 P 1.52
Co 0.5000 0.0000 0.5000  6 O 2.00-2.22
P 0.9086 0.4202 0.6985  4 O 1.50-1.60
O 0.7406 0.3781 0.1054  1 P 1.51
O 0.8827 0.3028 0.8711  1 P 1.55
O 0.6173 0.3028 0.3711  1 P 1.55
Co 0.3668 0.8166 0.0215  5 O 2.00-2.11
O 0.4495 0.3628 0.8347  1 P 1.50
P 0.8003 0.8647 0.3138  4 O 1.51-1.58
P 0.1997 0.1353 0.6862  4 O 1.51-1.58
O 0.1173 0.6972 0.1289  1 P 1.55
Co 0.1332 0.8166 0.5215  5 O 2.00-2.11
P 0.4086 0.5798 0.8015  4 O 1.50-1.60
O 0.0505 0.3628 0.3347  1 P 1.50
O 0.3799 0.1961 0.6025  1 P 1.52
Co 0.8668 0.1834 0.4785  5 O 2.00-2.11
O 0.0976 0.3411 0.6585  2 P 1.58-1.60
P 0.6997 0.8647 0.8138  4 O 1.51-1.58
Mg 0.0000 0.5000 0.0000  6 O 2.17-2.37
P 0.0914 0.5798 0.3015  4 O 1.50-1.60
O 0.2406 0.6219 0.3946  1 P 1.51
Mg 0.5000 0.5000 0.5000  6 O 2.17-2.37
O 0.7086 0.9721 0.6418  1 P 1.52
P 0.5914 0.4202 0.1985  4 O 1.50-1.60
O 0.5505 0.6372 0.1653  1 P 1.50
O 0.5799 0.9764 0.8845  1 P 1.51
O 0.9495 0.6372 0.6653  1 P 1.50
Co 0.0000 0.0000 0.0000  6 O 2.00-2.22
Co 0.6332 0.1834 0.9785  5 O 2.00-2.11

Summary:
space group = P2_1/c
energy of formation from the pure elements = -2.171 eV/atom

Entry 5:
ZrFeAs | r2SCAN | relaxed

Unit cell a=3.9109 b=6.5211 c=7.3451 alpha=90.00 beta=90.00 gamma=90.00
Closest atoms and distances in Å follow each position.
Element x y z (fractional)
As 0.7500 0.7748 0.1114  4 Fe 2.41-2.50
Zr 0.2500 0.4860 0.1898  5 As 2.78-2.80, 6 Fe 2.85-3.08
Fe 0.7500 0.6494 0.4330  4 As 2.41-2.50
Zr 0.2500 0.9860 0.3102  5 As 2.78-2.80, 6 Fe 2.85-3.08
Fe 0.7500 0.1493 0.0670  4 As 2.41-2.50
Fe 0.2500 0.8507 0.9330  4 As 2.41-2.50
Zr 0.7500 0.5140 0.8102  5 As 2.78-2.80, 6 Fe 2.85-3.08
Zr 0.7500 0.0140 0.6898  5 As 2.78-2.80, 6 Fe 2.85-3.08
As 0.7500 0.2748 0.3886  4 Fe 2.41-2.50
As 0.2500 0.2252 0.8886  4 Fe 2.41-2.50
Fe 0.2500 0.3507 0.5670  4 As 2.41-2.50
As 0.2500 0.7252 0.6115  4 Fe 2.41-2.50

Summary:
space group = Pnma
energy of formation from the pure elements = -0.724 eV/atom

Entry 6:
YH3 | r2SCAN | relaxed

Unit cell a=3.6639 b=3.6639 c=6.6120 alpha=90.00 beta=90.00 gamma=120.00
Closest atoms and distances in Å follow each position.
Element x y z (fractional)
Y 0.3333 0.6667 0.2500  11 H 2.12-2.36
Y 0.6667 0.3333 0.7500  11 H 2.12-2.36
H 0.0000 0.0000 0.2500  3 Y 2.12, 6 H 2.36
H 0.3333 0.6667 0.9073  1 H 2.08, 1 Y 2.27
H 0.6667 0.3333 0.4073  1 H 2.08, 1 Y 2.27
H 0.0000 0.0000 0.7500  3 Y 2.12, 6 H 2.36
H 0.6667 0.3333 0.0927  1 H 2.08, 1 Y 2.27
H 0.3333 0.6667 0.5927  1 H 2.08, 1 Y 2.27

Summary:
space group = P6_3/mmc
energy of formation from the pure elements = -0.707 eV/atom

Entry 7:
Gd2BiO2 | r2SCAN | relaxed

Unit cell a=7.3551 b=7.3551 c=7.3551 alpha=149.15 beta=149.15 gamma=44.18
Closest atoms and distances in Å follow each position.
Element x y z (fractional)
O 0.2500 0.7500 0.5000  4 Gd 2.26
Bi 0.0000 0.0000 0.0000  8 Gd 3.58, 4 Bi 3.91, 8 O 3.93
Gd 0.3336 0.3336 0.0000  4 O 2.26
O 0.7500 0.2500 0.5000  4 Gd 2.26
Gd 0.6664 0.6664 0.0000  4 O 2.26

Summary:
space group = I4/mmm
energy of formation from the pure elements = -2.869 eV/atom

Entry 8:
Cs2HoCl5 | r2SCAN | relaxed

Unit cell a=7.4688 b=9.5309 c=15.2971 alpha=90.00 beta=90.00 gamma=90.00
Closest atoms and distances in Å follow each position.
Element x y z (fractional)
Cl 0.4954 0.6641 0.1190  1 Ho 2.55
Cs 0.2500 0.6660 0.9164  10 Cl 3.58-3.91
Cs 0.2500 0.9733 0.2109  10 Cl 3.49-3.74
Cl 0.7500 0.4813 0.2990  1 Ho 2.58
Cl 0.2500 0.5187 0.7010  1 Ho 2.58
Cl 0.7500 0.7087 0.9089  1 Ho 2.62
Cs 0.2500 0.1660 0.5836  10 Cl 3.58-3.91
Ho 0.2500 0.6796 0.5657  6 Cl 2.55-2.73
Cs 0.7500 0.8340 0.4164  10 Cl 3.58-3.91
Cl 0.5000 0.0000 0.0000  2 Ho 2.73
Cl 0.9954 0.8359 0.6190  1 Ho 2.55
Cl 0.7500 0.9813 0.2010  1 Ho 2.58
Cs 0.7500 0.0267 0.7891  10 Cl 3.49-3.74
Cl 0.0046 0.1641 0.3810  1 Ho 2.55
Cs 0.7500 0.3340 0.0836  10 Cl 3.58-3.91
Cs 0.7500 0.5267 0.7109  10 Cl 3.49-3.74
Cl 0.2500 0.7913 0.4089  1 Ho 2.62
Cl 0.5000 0.5000 0.5000  2 Ho 2.73
Cl 0.2500 0.2913 0.0911  1 Ho 2.62
Cl 0.0000 0.5000 0.5000  2 Ho 2.73
Cl 0.5046 0.3359 0.8810  1 Ho 2.55
Cl 0.4954 0.1641 0.3810  1 Ho 2.55
Cl 0.0000 0.0000 0.0000  2 Ho 2.73
Cl 0.9954 0.3359 0.8810  1 Ho 2.55
Ho 0.7500 0.3204 0.4343  6 Cl 2.55-2.73
Cl 0.2500 0.0187 0.7990  1 Ho 2.58
Cl 0.7500 0.2087 0.5911  1 Ho 2.62
Ho 0.7500 0.8204 0.0657  6 Cl 2.55-2.73
Cl 0.5046 0.8359 0.6190  1 Ho 2.55
Cl 0.0046 0.6641 0.1190  1 Ho 2.55
Ho 0.2500 0.1796 0.9343  6 Cl 2.55-2.73
Cs 0.2500 0.4733 0.2891  10 Cl 3.49-3.74

Summary:
space group = Pnma
energy of formation from the pure elements = -2.452 eV/atom

What is the formula in the third record?
Ho2RuPt

Among the records above, which one has the lowest energy of formation from the pure elements?
Gd2BiO2

Copy entry 4 word for word.
MgCo3P4O14 | r2SCAN | relaxed

Unit cell a=7.3227 b=7.1817 c=9.5606 alpha=67.28 beta=90.00 gamma=90.00
Closest atoms and distances in Å follow each position.
Element x y z (fractional)
O 0.5976 0.6589 0.8415  2 P 1.58-1.60
P 0.3003 0.1353 0.1862  4 O 1.51-1.58
O 0.0799 0.0236 0.6155  1 P 1.51
O 0.7594 0.3781 0.6054  1 P 1.51
O 0.7914 0.9721 0.1418  1 P 1.52
O 0.4201 0.0236 0.1155  1 P 1.51
O 0.9201 0.9764 0.3845  1 P 1.51
O 0.6201 0.8039 0.3975  1 P 1.52
O 0.9024 0.6589 0.3415  2 P 1.58-1.60
O 0.2086 0.0279 0.8582  1 P 1.52
O 0.4024 0.3411 0.1585  2 P 1.58-1.60
O 0.2914 0.0279 0.3582  1 P 1.52
O 0.2594 0.6219 0.8946  1 P 1.51
O 0.3827 0.6972 0.6289  1 P 1.55
O 0.1201 0.1961 0.1025  1 P 1.52
O 0.8799 0.8039 0.8975  1 P 1.52
Co 0.5000 0.0000 0.5000  6 O 2.00-2.22
P 0.9086 0.4202 0.6985  4 O 1.50-1.60
O 0.7406 0.3781 0.1054  1 P 1.51
O 0.8827 0.3028 0.8711  1 P 1.55
O 0.6173 0.3028 0.3711  1 P 1.55
Co 0.3668 0.8166 0.0215  5 O 2.00-2.11
O 0.4495 0.3628 0.8347  1 P 1.50
P 0.8003 0.8647 0.3138  4 O 1.51-1.58
P 0.1997 0.1353 0.6862  4 O 1.51-1.58
O 0.1173 0.6972 0.1289  1 P 1.55
Co 0.1332 0.8166 0.5215  5 O 2.00-2.11
P 0.4086 0.5798 0.8015  4 O 1.50-1.60
O 0.0505 0.3628 0.3347  1 P 1.50
O 0.3799 0.1961 0.6025  1 P 1.52
Co 0.8668 0.1834 0.4785  5 O 2.00-2.11
O 0.0976 0.3411 0.6585  2 P 1.58-1.60
P 0.6997 0.8647 0.8138  4 O 1.51-1.58
Mg 0.0000 0.5000 0.0000  6 O 2.17-2.37
P 0.0914 0.5798 0.3015  4 O 1.50-1.60
O 0.2406 0.6219 0.3946  1 P 1.51
Mg 0.5000 0.5000 0.5000  6 O 2.17-2.37
O 0.7086 0.9721 0.6418  1 P 1.52
P 0.5914 0.4202 0.1985  4 O 1.50-1.60
O 0.5505 0.6372 0.1653  1 P 1.50
O 0.5799 0.9764 0.8845  1 P 1.51
O 0.9495 0.6372 0.6653  1 P 1.50
Co 0.0000 0.0000 0.0000  6 O 2.00-2.22
Co 0.6332 0.1834 0.9785  5 O 2.00-2.11

Summary:
space group = P2_1/c
energy of formation from the pure elements = -2.171 eV/atom

Among the records above, which one has the lowest energy of formation from the pure elements?
Gd2BiO2